Material: Na6ZnSi2Ge3P4O24
Method: DFT, PBE-GGA
State: optimized geometry

a b c (Å): 15.0640 8.7673 8.8229
angles (deg): 89.06 125.06 90.07
With the nearest neighbours (Å) after each atom.
Atoms (fractional coordinates):
O1 0.8601 0.4122 0.2711  1 Si 1.67, 1 Ge 1.86
O2 0.5437 0.1831 0.0621  1 P 1.57
O3 0.3623 0.8575 0.5882  1 P 1.56
O4 0.0670 0.0521 0.9079  1 P 1.51
O5 0.6529 0.9504 0.2613  1 P 1.52
O6 0.5670 0.5521 0.9079  1 P 1.51
O7 0.5754 0.3494 0.7322  1 P 1.59
O8 0.7600 0.6830 0.2422  1 Si 1.59
O9 0.0765 0.1402 0.2490  1 P 1.52
O10 0.9162 0.8477 0.7562  1 P 1.56
O11 0.4313 0.4282 0.0857  1 P 1.56
O12 0.2451 0.6931 0.2621  1 P 1.56
O13 0.4193 0.5515 0.5575  1 P 1.57
O14 0.2515 0.3075 0.7690  1 Si 1.66
O15 0.8638 0.6246 0.0726  1 Si 1.67, 1 Ge 1.86
O16 0.7480 0.3388 0.7278  1 P 1.57
O17 0.4676 0.1710 0.4397  1 Si 1.63, 1 Ge 1.82
O18 0.9193 0.0515 0.5575  1 P 1.57
O19 0.0754 0.8494 0.7322  1 P 1.59
O20 0.3601 0.9122 0.2711  1 Si 1.67, 1 Ge 1.86
O21 0.0446 0.3058 0.5696  1 Si 1.68, 1 Ge 1.87
O22 0.5765 0.6402 0.2490  1 P 1.52
O23 0.9676 0.6710 0.4397  1 Si 1.63, 1 Ge 1.82
O24 0.1438 0.3903 0.9254  1 Si 1.61
O25 0.9494 0.3281 0.9376  1 P 1.52
O26 0.4162 0.3477 0.7562  1 P 1.56
O27 0.8532 0.5727 0.7561  1 P 1.58
O28 0.2600 0.1830 0.2422  1 Si 1.59
O29 0.5641 0.4418 0.4405  1 P 1.54
O30 0.0437 0.6831 0.0621  1 P 1.57
O31 0.1571 0.5839 0.7219  1 Si 1.65
O32 0.2480 0.8388 0.7278  1 P 1.57
O33 0.7451 0.1931 0.2621  1 P 1.56
O34 0.8623 0.3575 0.5882  1 P 1.56
O35 0.3532 0.0727 0.7561  1 P 1.58
O36 0.9104 0.1299 0.2547  1 P 1.58
O37 0.7515 0.8075 0.7690  1 Si 1.66
O38 0.9313 0.9282 0.0857  1 P 1.56
O39 0.6438 0.8903 0.9254  1 Si 1.61
O40 0.4104 0.6299 0.2547  1 P 1.58
O41 0.1529 0.4504 0.2613  1 P 1.52
O42 0.4494 0.8281 0.9376  1 P 1.52
O43 0.3638 0.1246 0.0726  1 Si 1.67, 1 Ge 1.86
O44 0.5446 0.8058 0.5696  1 Si 1.68, 1 Ge 1.87
O45 0.6571 0.0839 0.7219  1 Si 1.65
O46 0.0641 0.9418 0.4405  1 P 1.54
O47 0.1450 0.6791 0.4149  1 P 1.53
O48 0.6450 0.1791 0.4149  1 P 1.53
Si1 0.3589 0.1019 0.2561  4 O 1.59-1.67
Si2 0.6488 0.8990 0.7483  4 O 1.61-1.68
Si3 0.1488 0.3990 0.7483  4 O 1.61-1.68
Si4 0.8589 0.6019 0.2561  4 O 1.59-1.67
P1 0.6464 0.1241 0.2531  4 O 1.52-1.57
P2 0.4995 0.5337 0.2559  4 O 1.52-1.58
P3 0.3548 0.8931 0.7534  4 O 1.52-1.58
P4 0.4936 0.4554 0.7417  4 O 1.51-1.59
P5 0.9936 0.9554 0.7417  4 O 1.51-1.59
P6 0.1464 0.6241 0.2531  4 O 1.52-1.57
P7 0.8548 0.3931 0.7534  4 O 1.52-1.58
P8 0.9995 0.0337 0.2559  4 O 1.52-1.58
Ge1 0.6031 0.2494 0.5593  6 O 1.82-2.01
Ge2 0.8960 0.7528 0.9407  5 O 1.86-1.99
Ge3 0.3960 0.2528 0.9407  5 O 1.86-1.99
Ge4 0.3984 0.7537 0.4423  6 O 1.86-2.09
Ge5 0.8984 0.2537 0.4423  6 O 1.86-2.09
Ge6 0.1031 0.7494 0.5593  6 O 1.82-2.01
Na1 0.9995 0.3793 0.2355  4 O 2.28-2.37
Na2 0.1842 0.0718 0.7800  5 O 2.33-2.59
Na3 0.2457 0.2427 0.4860  6 O 2.35-2.52
Na4 0.7457 0.7427 0.4860  6 O 2.35-2.52
Na5 0.5099 0.1034 0.7645  7 O 2.33-2.61
Na6 0.7985 0.9303 0.2288  5 O 2.26-2.52
Na7 0.6842 0.5718 0.7800  5 O 2.33-2.59
Na8 0.2520 0.7473 0.9983  6 O 2.37-2.48
Na9 0.7520 0.2473 0.9983  6 O 2.37-2.48
Na10 0.2985 0.4303 0.2288  5 O 2.26-2.52
Na11 0.0099 0.6034 0.7645  7 O 2.33-2.61
Na12 0.4995 0.8793 0.2355  4 O 2.28-2.37
Zn1 0.1023 0.2402 0.0510  5 O 1.97-2.17
Zn2 0.6023 0.7402 0.0510  5 O 1.97-2.17

Values from the calculation:
Distance to the lowest polymorph of the same formula = 0.004 eV/atom
Formation energy = -2482 meV per atom
DFT total energy = -514.240 eV per cell
MP2020-corrected energy = -547.2 eV for the cell shown
Theoretical density = 3432 kg/m³